# 1
First-principles (PBE) data for a relaxed structure of La2MgTiO6, as listed in the Materials Project database.

Unit cell a=5.575 b=5.575 c=5.575 alpha=60.70 beta=60.70 gamma=60.70
Positions (direct):
La: 0.250 0.250 0.250
La: 0.750 0.750 0.750
Mg: 0.000 0.000 0.000
Ti: 0.500 0.500 0.500
O: 0.183 0.330 0.741
O: 0.259 0.817 0.670
O: 0.330 0.741 0.183
O: 0.670 0.259 0.817
O: 0.741 0.183 0.330
O: 0.817 0.670 0.259

Summary:
E_form   -3674 meV per atom
SG   R-3, No. 148
Calculated volume   124.5 Å³/f.u.
MP2020-corrected energy   -8.580 eV/atom

# 2
First-principles (PBE) data for a relaxed structure of LaMg2TiO6, as listed in the Materials Project database.

Unit cell a=5.965 b=5.965 c=5.965 alpha=60.00 beta=60.00 gamma=60.00
Positions (direct):
La: 0.000 0.000 0.000
Mg: 0.250 0.250 0.250
Mg: 0.750 0.750 0.750
Ti: 0.500 0.500 0.500
O: 0.270 0.270 0.730
O: 0.270 0.730 0.270
O: 0.270 0.730 0.730
O: 0.730 0.270 0.270
O: 0.730 0.270 0.730
O: 0.730 0.730 0.270

Summary:
E_form   -2386 meV per atom
SG   Fm-3m, No. 225
Calculated volume   150.1 Å³/f.u.
MP2020-corrected energy   -6.958 eV/atom

# 3
First-principles (PBE) data for a relaxed structure of La2MgTiO6, as listed in the Materials Project database.

Unit cell a=5.585 b=5.659 c=9.687 alpha=90.00 beta=125.11 gamma=90.00
Positions (direct):
La: 0.242 0.039 0.251
La: 0.242 0.461 0.751
La: 0.758 0.539 0.249
La: 0.758 0.961 0.749
Mg: 0.500 0.000 0.000
Mg: 0.500 0.500 0.500
Ti: 0.000 0.000 0.500
Ti: 0.000 0.500 0.000
O: 0.157 0.217 0.954
O: 0.157 0.283 0.454
O: 0.238 0.703 0.957
O: 0.238 0.797 0.457
O: 0.326 0.022 0.743
O: 0.326 0.478 0.243
O: 0.674 0.522 0.757
O: 0.674 0.978 0.257
O: 0.762 0.203 0.543
O: 0.762 0.297 0.043
O: 0.843 0.717 0.546
O: 0.843 0.783 0.046

Summary:
E_form   -3686 meV per atom
SG   P2_1/c, No. 14
Calculated volume   125.2 Å³/f.u.
MP2020-corrected energy   -8.592 eV/atom

# 4
First-principles (PBE) data for a relaxed structure of La2MgZrO6, as listed in the Materials Project database.

Unit cell a=5.741 b=5.741 c=5.741 alpha=60.00 beta=60.00 gamma=60.00
Positions (direct):
La: 0.250 0.250 0.250
La: 0.750 0.750 0.750
Mg: 0.000 0.000 0.000
Zr: 0.500 0.500 0.500
O: 0.246 0.246 0.754
O: 0.246 0.754 0.246
O: 0.246 0.754 0.754
O: 0.754 0.246 0.246
O: 0.754 0.246 0.754
O: 0.754 0.754 0.246

Summary:
E_form   -3516 meV per atom
SG   Fm-3m, No. 225
Calculated volume   133.8 Å³/f.u.
MP2020-corrected energy   -8.487 eV/atom

# 5
First-principles (PBE) data for a relaxed structure of LaMgPd, as listed in the Materials Project database.

Unit cell a=7.771 b=7.771 c=4.163 alpha=90.00 beta=90.00 gamma=120.00
Positions (direct):
La: 0.000 0.585 0.000
La: 0.415 0.415 0.000
La: 0.585 0.000 0.000
Mg: 0.000 0.238 0.500
Mg: 0.238 0.000 0.500
Mg: 0.762 0.762 0.500
Pd: 0.000 0.000 0.000
Pd: 0.333 0.667 0.500
Pd: 0.667 0.333 0.500

Summary:
E_form   -666 meV per atom
SG   P-62m, No. 189
Calculated volume   72.6 Å³/f.u.

# 6
First-principles (PBE) data for a relaxed structure of LaMg2Pd, as listed in the Materials Project database.

Unit cell a=5.693 b=5.693 c=8.406 alpha=90.00 beta=90.00 gamma=135.20
Positions (direct):
La: 0.061 0.939 0.750
La: 0.939 0.061 0.250
Mg: 0.347 0.653 0.554
Mg: 0.347 0.653 0.946
Mg: 0.653 0.347 0.054
Mg: 0.653 0.347 0.446
Pd: 0.224 0.776 0.250
Pd: 0.776 0.224 0.750

Summary:
E_form   -545 meV per atom
SG   Cmcm, No. 63
Calculated volume   96.0 Å³/f.u.

# 7
First-principles (PBE) data for a relaxed structure of LaPmMg2, as listed in the Materials Project database.

Unit cell a=5.521 b=5.521 c=5.521 alpha=60.00 beta=60.00 gamma=60.00
Positions (direct):
La: 0.000 0.000 0.000
Pm: 0.500 0.500 0.500
Mg: 0.250 0.250 0.250
Mg: 0.750 0.750 0.750

Summary:
E_form   -100 meV per atom
SG   Fm-3m, No. 225
Calculated volume   119.0 Å³/f.u.

# 8
First-principles (PBE) data for a relaxed structure of RbLaMg6, as listed in the Materials Project database.

Unit cell a=5.428 b=7.231 c=12.062 alpha=90.00 beta=90.00 gamma=90.00
Positions (direct):
Mg: 0.000 0.248 0.412
Mg: 0.000 0.748 0.912
Mg: 0.000 0.752 0.412
Mg: 0.500 0.000 0.846
Mg: 0.500 0.285 0.086
Mg: 0.500 0.500 0.346
Mg: 0.000 0.500 0.167
Mg: 0.000 0.252 0.912
Mg: 0.500 0.215 0.586
Mg: 0.000 0.000 0.667
Mg: 0.500 0.785 0.586
Mg: 0.500 0.715 0.086
La: 0.500 0.500 0.843
La: 0.500 0.000 0.343
Rb: 0.000 0.500 0.649
Rb: 0.000 0.000 0.149

Summary:
E_form   217 meV per atom
Calculated volume   236.7 Å³/f.u.
Energy above the most stable polymorph in this dataset   0.000 eV per atom

# 9
First-principles (PBE) data for a relaxed structure of RbLaMg6, as listed in the Materials Project database.

Unit cell a=5.383 b=7.292 c=12.307 alpha=90.00 beta=90.00 gamma=90.00
Positions (direct):
Mg: 0.000 0.230 0.934
Mg: 0.500 0.258 0.080
Mg: 0.000 0.500 0.159
Mg: 0.500 0.742 0.080
Mg: 0.000 0.730 0.434
Mg: 0.500 0.758 0.580
Mg: 0.000 0.270 0.434
Mg: 0.000 0.770 0.934
Mg: 0.500 0.242 0.580
Mg: 0.000 0.000 0.141
Mg: 0.000 0.500 0.641
Mg: 0.000 0.000 0.659
Rb: 0.500 0.500 0.831
Rb: 0.500 0.000 0.331
La: 0.500 0.500 0.339
La: 0.500 0.000 0.839

Summary:
E_form   222 meV per atom
Calculated volume   241.5 Å³/f.u.
Energy above the most stable polymorph in this dataset   0.004 eV per atom

# 10
First-principles (PBE) data for a relaxed structure of La4MgRh, as listed in the Materials Project database.

Unit cell a=10.216 b=10.216 c=10.216 alpha=60.00 beta=60.00 gamma=60.00
Positions (direct):
La: 0.039 0.654 0.654
La: 0.062 0.062 0.438
La: 0.062 0.438 0.062
La: 0.062 0.438 0.438
La: 0.188 0.188 0.812
La: 0.188 0.812 0.188
La: 0.188 0.812 0.812
La: 0.438 0.062 0.062
La: 0.438 0.062 0.438
La: 0.438 0.438 0.062
La: 0.654 0.039 0.654
La: 0.654 0.654 0.039
La: 0.654 0.654 0.654
La: 0.812 0.188 0.188
La: 0.812 0.188 0.812
La: 0.812 0.812 0.188
Mg: 0.420 0.420 0.420
Mg: 0.420 0.420 0.739
Mg: 0.420 0.739 0.420
Mg: 0.739 0.420 0.420
Rh: 0.426 0.858 0.858
Rh: 0.858 0.426 0.858
Rh: 0.858 0.858 0.426
Rh: 0.858 0.858 0.858

Summary:
E_form   -353 meV per atom
SG   F-43m, No. 216
Calculated volume   188.5 Å³/f.u.

# 11
First-principles (PBE) data for a relaxed structure of LaMgRh, as listed in the Materials Project database.

Unit cell a=7.621 b=4.221 c=17.064 alpha=90.00 beta=90.00 gamma=90.00
Positions (direct):
La: 0.044 0.250 0.218
La: 0.163 0.250 0.438
La: 0.337 0.750 0.938
La: 0.456 0.750 0.718
La: 0.544 0.250 0.282
La: 0.663 0.250 0.062
La: 0.837 0.750 0.562
La: 0.956 0.750 0.782
Mg: 0.003 0.750 0.063
Mg: 0.133 0.250 0.649
Mg: 0.367 0.750 0.149
Mg: 0.497 0.250 0.563
Mg: 0.503 0.750 0.437
Mg: 0.633 0.250 0.851
Mg: 0.867 0.750 0.351
Mg: 0.997 0.250 0.937
Rh: 0.245 0.250 0.062
Rh: 0.246 0.750 0.313
Rh: 0.254 0.250 0.813
Rh: 0.255 0.750 0.562
Rh: 0.745 0.250 0.438
Rh: 0.746 0.750 0.187
Rh: 0.754 0.250 0.687
Rh: 0.755 0.750 0.938

Summary:
E_form   -622 meV per atom
SG   Pnma, No. 62
Calculated volume   68.6 Å³/f.u.

# 12
First-principles (PBE) data for a relaxed structure of LaMg2W3S8, as listed in the Materials Project database.

Unit cell a=7.230 b=7.230 c=7.572 alpha=117.10 beta=117.10 gamma=62.81
Positions (direct):
La: 0.000 0.000 0.000
Mg: 0.375 0.375 0.119
Mg: 0.625 0.625 0.881
W: 0.000 0.000 0.500
W: 0.000 0.500 0.500
W: 0.500 0.000 0.500
S: 0.231 0.742 0.708
S: 0.243 0.243 0.721
S: 0.258 0.769 0.292
S: 0.264 0.264 0.303
S: 0.736 0.736 0.697
S: 0.742 0.231 0.708
S: 0.757 0.757 0.279
S: 0.769 0.258 0.292

Summary:
E_form   -1030 meV per atom
SG   C2/m, No. 12
Calculated volume   297.7 Å³/f.u.
MP2020-corrected energy   -6.752 eV/atom

# 13
First-principles (PBE) data for a relaxed structure of La6Mg23Sb, as listed in the Materials Project database.

Unit cell a=10.391 b=10.391 c=10.391 alpha=60.00 beta=60.00 gamma=60.00
Positions (direct):
La: 0.217 0.217 0.783
La: 0.217 0.783 0.217
La: 0.217 0.783 0.783
La: 0.783 0.217 0.217
La: 0.783 0.217 0.783
La: 0.783 0.783 0.217
Mg: 0.000 0.000 0.500
Mg: 0.000 0.500 0.000
Mg: 0.000 0.500 0.500
Mg: 0.135 0.622 0.622
Mg: 0.172 0.172 0.172
Mg: 0.172 0.172 0.483
Mg: 0.172 0.483 0.172
Mg: 0.378 0.378 0.378
Mg: 0.378 0.378 0.865
Mg: 0.378 0.865 0.378
Mg: 0.483 0.172 0.172
Mg: 0.500 0.000 0.000
Mg: 0.500 0.000 0.500
Mg: 0.500 0.500 0.000
Mg: 0.500 0.500 0.500
Mg: 0.517 0.828 0.828
Mg: 0.622 0.135 0.622
Mg: 0.622 0.622 0.135
Mg: 0.622 0.622 0.622
Mg: 0.828 0.517 0.828
Mg: 0.828 0.828 0.517
Mg: 0.828 0.828 0.828
Mg: 0.865 0.378 0.378
Sb: 0.000 0.000 0.000

Summary:
E_form   -193 meV per atom
SG   Fm-3m, No. 225
Calculated volume   793.3 Å³/f.u.
MP2020-corrected energy   -2.545 eV/atom

# 14
First-principles (PBE) data for a relaxed structure of La2MgSi4, as listed in the Materials Project database.

Unit cell a=17.665 b=17.665 c=17.665 alpha=159.89 beta=159.89 gamma=28.59
Positions (direct):
La: 0.179 0.675 0.504
La: 0.325 0.329 0.504
La: 0.325 0.821 0.996
La: 0.329 0.325 0.004
La: 0.671 0.675 0.996
La: 0.675 0.179 0.004
La: 0.675 0.671 0.496
La: 0.821 0.325 0.496
Mg: 0.000 0.000 0.000
Mg: 0.000 0.000 0.500
Mg: 0.000 0.500 0.000
Mg: 0.500 0.000 0.500
Si: 0.139 0.154 0.515
Si: 0.139 0.624 0.985
Si: 0.154 0.139 0.015
Si: 0.208 0.264 0.556
Si: 0.208 0.652 0.944
Si: 0.264 0.208 0.056
Si: 0.348 0.792 0.556
Si: 0.376 0.861 0.515
Si: 0.624 0.139 0.485
Si: 0.652 0.208 0.444
Si: 0.736 0.792 0.944
Si: 0.792 0.348 0.056
Si: 0.792 0.736 0.444
Si: 0.846 0.861 0.985
Si: 0.861 0.376 0.015
Si: 0.861 0.846 0.485

Summary:
E_form   -36 meV per atom
SG   I4_1/amd, No. 141
Calculated volume   162.8 Å³/f.u.
MP2020-corrected energy   -4.776 eV/atom

# 15
First-principles (PBE) data for a relaxed structure of LaMg2Si2, as listed in the Materials Project database.

Unit cell a=4.308 b=4.308 c=5.845 alpha=90.00 beta=90.00 gamma=90.00
Positions (direct):
La: 0.000 0.000 0.000
Mg: 0.000 0.500 0.500
Mg: 0.500 0.000 0.500
Si: 0.500 0.500 0.198
Si: 0.500 0.500 0.802

Summary:
E_form   -460 meV per atom
SG   P4/mmm, No. 123
Calculated volume   108.5 Å³/f.u.
MP2020-corrected energy   -4.257 eV/atom

# 16
First-principles (PBE) data for a relaxed structure of La2MgSi2, as listed in the Materials Project database.

Unit cell a=7.533 b=7.533 c=4.470 alpha=90.00 beta=90.00 gamma=90.00
Positions (direct):
La: 0.181 0.319 0.000
La: 0.319 0.819 0.000
La: 0.681 0.181 0.000
La: 0.819 0.681 0.000
Mg: 0.000 0.000 0.500
Mg: 0.500 0.500 0.500
Si: 0.113 0.613 0.500
Si: 0.387 0.113 0.500
Si: 0.613 0.887 0.500
Si: 0.887 0.387 0.500

Summary:
E_form   -636 meV per atom
SG   P4/mbm, No. 127
Calculated volume   126.8 Å³/f.u.
MP2020-corrected energy   -5.101 eV/atom

# 17
First-principles (PBE) data for a relaxed structure of LaSmMg2, as listed in the Materials Project database.

Unit cell a=5.530 b=5.530 c=5.530 alpha=60.00 beta=60.00 gamma=60.00
Positions (direct):
La: 0.000 0.000 0.000
Sm: 0.500 0.500 0.500
Mg: 0.250 0.250 0.250
Mg: 0.750 0.750 0.750

Summary:
E_form   -96 meV per atom
SG   Fm-3m, No. 225
Calculated volume   119.6 Å³/f.u.

# 18
First-principles (PBE) data for a relaxed structure of LaMg14Sn, as listed in the Materials Project database.

Unit cell a=10.412 b=6.591 c=6.591 alpha=59.11 beta=90.00 gamma=90.00
Positions (direct):
La: 0.000 0.000 0.000
Mg: 0.000 0.007 0.494
Mg: 0.000 0.494 0.007
Mg: 0.246 0.666 0.666
Mg: 0.260 0.167 0.659
Mg: 0.260 0.168 0.168
Mg: 0.260 0.659 0.167
Mg: 0.500 0.500 0.500
Mg: 0.500 0.500 0.997
Mg: 0.500 0.997 0.500
Mg: 0.500 0.999 0.999
Mg: 0.740 0.167 0.659
Mg: 0.740 0.168 0.168
Mg: 0.740 0.659 0.167
Mg: 0.754 0.666 0.666
Sn: 0.000 0.494 0.494

Summary:
E_form   -49 meV per atom
SG   Amm2, No. 38
Calculated volume   388.2 Å³/f.u.
Energy above the most stable polymorph in this dataset   0.000 eV per atom